UPt2 | PBE-GGA | optimized geometry

```
UPt2
1.0
2.075 -4.926 0.000
2.075 4.926 0.000
0.000 0.000 5.666
U Pt
2 4
Cartesian
2.075 3.246 4.250
2.075 -3.246 1.417
2.075 3.575 1.417
2.075 0.000 0.000
2.075 0.000 2.833
2.075 -3.575 4.250
```

## Properties
The formation enthalpy at 0 K is -0.699 eV per atom. The space group is Cmcm (63). Its uncorrected energy is -8.510 eV per atom.

---

Dy2B4O9 | PBE-GGA | optimized geometry

```
Dy2B4O9
1.0
6.199 0.000 0.000
-1.385 6.316 0.000
-0.936 -1.841 7.217
Dy B O
4 8 18
Cartesian
-0.086 0.042 2.068
1.120 3.607 2.585
2.759 0.868 4.632
3.965 4.433 5.149
-0.317 1.053 4.700
-0.808 2.596 6.680
0.048 0.301 7.085
2.686 0.570 1.372
1.193 3.905 5.845
3.830 4.174 0.133
4.687 1.879 0.537
4.196 3.423 2.518
-1.081 4.952 0.133
-1.196 2.016 5.392
-1.061 4.340 3.211
0.526 0.208 5.700
0.866 3.530 0.295
0.693 1.592 3.774
-0.088 3.858 6.332
1.710 1.518 1.035
2.302 -0.327 2.337
1.576 4.803 4.880
2.169 2.958 6.182
3.966 0.618 0.885
3.186 2.883 3.443
3.013 0.946 6.922
3.353 4.268 1.517
4.940 0.135 4.007
5.075 2.460 1.825
4.960 -0.477 7.084
```

## Properties
The formation enthalpy at 0 K is -3.290 eV per atom. The space group is P-1 (2). Its uncorrected energy is -8.242 eV per atom. The corrected total energy (MP2020 scheme) is -129.807 eV/f.u.

---

NbTeCl9 | PBE-GGA | optimized geometry

```
NbTeCl9
1.0
11.330 -3.335 0.000
11.330 3.335 0.000
-5.929 0.000 19.180
Nb Te Cl
4 4 36
Cartesian
4.324 1.969 11.985
9.443 1.969 16.785
7.289 -1.969 2.395
12.407 -1.969 7.195
4.498 1.305 16.088
9.268 1.305 12.682
7.463 -1.305 6.498
12.233 -1.305 3.092
6.505 2.983 12.280
3.776 2.603 17.942
7.261 2.983 16.490
1.743 0.171 5.059
-1.101 0.482 17.921
2.289 0.848 12.039
-1.221 -0.171 14.649
9.990 2.603 10.828
5.072 0.813 10.140
1.863 -0.482 8.331
2.413 0.273 15.823
5.377 -0.273 6.233
5.186 0.200 13.541
5.254 -0.848 2.449
8.342 0.518 7.734
8.151 -0.200 3.951
11.354 0.518 1.856
8.036 -0.813 0.550
8.695 0.813 18.630
5.377 -0.518 17.324
8.581 0.200 15.229
8.390 -0.518 11.446
11.477 0.848 16.731
11.545 -0.200 5.639
11.354 0.273 12.947
14.319 -0.273 3.357
14.868 0.482 10.849
11.660 -0.813 9.040
6.741 -2.603 8.352
17.953 0.171 4.531
14.442 -0.848 7.141
17.833 -0.482 1.259
14.988 -0.171 14.121
9.470 -2.983 2.690
12.955 -2.603 1.238
10.226 -2.983 6.900
```

## Properties
The formation enthalpy at 0 K is -1.447 eV per atom. The polymorph energy (0 for the lowest one) is 0 meV/atom. Its total magnetization is 0.0 μB/f.u. The space group is C2/c (15). Its uncorrected energy is -3.662 eV per atom. The corrected total energy (MP2020 scheme) is -45.804 eV/f.u.

---

HoIr2 | PBE-GGA | optimized geometry

```
HoIr2
1.0
0.000 3.784 3.784
3.784 0.000 3.784
3.784 3.784 0.000
Ho Ir
2 4
Cartesian
0.946 0.946 0.946
6.622 6.622 6.622
3.784 1.892 1.892
1.892 3.784 1.892
1.892 1.892 3.784
3.784 3.784 3.784
```

## Properties
The formation enthalpy at 0 K is -0.836 eV per atom. The space group is Fd-3m (227). Its uncorrected energy is -8.256 eV per atom.

---

Mg2Sc3VS8 | PBE-GGA | optimized geometry

```
Mg2Sc3VS8
1.0
6.446 -3.763 0.000
6.446 3.763 0.000
-4.262 0.000 6.130
Mg Sc V S
2 3 1 8
Cartesian
0.010 0.000 2.300
8.620 0.000 3.830
3.223 1.881 0.000
3.223 -1.881 0.000
4.315 0.000 3.065
6.446 0.000 0.000
2.291 0.000 1.485
0.108 0.000 4.760
5.369 1.727 1.442
3.262 1.727 4.688
5.369 -1.727 1.442
3.262 -1.727 4.688
8.523 0.000 1.370
6.340 0.000 4.646
```

## Properties
The formation enthalpy at 0 K is -1.853 eV per atom. Its total magnetization is 2.0 μB/f.u. The space group is C2/m (12). Its uncorrected energy is -6.164 eV per atom. The corrected total energy (MP2020 scheme) is -90.322 eV/f.u.

---

Mg2CdAg | PBE-GGA | optimized geometry

```
Mg2CdAg
1.0
0.000 3.413 3.413
3.413 0.000 3.413
3.413 3.413 0.000
Mg Cd Ag
2 1 1
Cartesian
1.707 1.707 1.707
5.120 5.120 5.120
0.000 0.000 0.000
3.413 3.413 3.413
```

## Properties
The formation enthalpy at 0 K is -0.164 eV per atom. The polymorph energy (0 for the lowest one) is 0 meV/atom. The space group is Fm-3m (225). Its uncorrected energy is -1.903 eV per atom.

---

Ho3Ni13B2 | PBE-GGA | optimized geometry

```
Ho3Ni13B2
1.0
4.906 0.000 0.000
-2.453 4.249 0.000
0.000 0.000 10.865
Ho Ni B
3 13 2
Cartesian
0.000 0.000 0.000
0.000 0.000 3.580
0.000 0.000 7.286
-1.227 2.125 1.458
-1.227 2.125 5.433
-1.227 2.125 9.408
0.000 2.833 3.468
0.000 2.833 7.398
2.453 0.000 1.458
2.453 0.000 5.433
2.453 0.000 9.408
1.227 2.125 1.458
1.227 2.125 5.433
1.227 2.125 9.408
2.453 1.416 3.468
2.453 1.416 7.398
0.000 2.833 0.000
2.453 1.416 0.000
```

## Properties
The formation enthalpy at 0 K is -0.434 eV per atom. Its total magnetization is 0.4 μB/f.u. The space group is P6/mmm (191). Its uncorrected energy is -6.114 eV per atom.

---

TaTiZn2O6 | PBE-GGA | optimized geometry

```
TaTiZn2O6
1.0
5.296 0.000 0.000
0.000 7.696 0.000
-0.037 0.000 5.344
Ta Ti Zn O
2 2 4 12
Cartesian
0.000 0.000 0.000
0.000 3.848 0.000
2.629 0.000 2.672
2.629 3.848 2.672
0.046 1.924 2.578
2.603 5.772 0.248
2.656 1.924 5.097
5.213 5.772 2.766
0.671 1.924 0.294
0.904 4.341 1.700
0.904 7.204 1.700
1.649 4.359 4.383
1.649 7.185 4.383
2.020 1.924 3.041
3.239 5.772 2.304
3.610 0.511 0.961
3.610 3.337 0.961
4.355 0.493 3.645
4.355 3.355 3.645
4.588 5.772 5.050
```

## Properties
The formation enthalpy at 0 K is -2.599 eV per atom. Its total magnetization is 1.0 μB/f.u. The space group is P2_1/m (11). Its uncorrected energy is -7.383 eV per atom. The corrected total energy (MP2020 scheme) is -77.950 eV/f.u.

---

Li5AlSi2O8 | PBE-GGA | optimized geometry

```
Li5AlSi2O8
1.0
3.637 -3.667 0.000
3.637 3.667 0.000
-0.016 0.000 6.341
Li Al Si O
5 1 2 8
Cartesian
0.000 0.000 0.000
3.637 1.038 0.000
2.254 -1.429 1.520
5.004 -1.429 4.822
3.629 -3.601 3.171
3.629 1.017 3.171
2.346 -1.392 4.767
4.913 -1.392 1.574
2.281 2.165 2.929
1.450 -1.309 6.111
4.978 2.165 3.412
3.283 0.012 4.586
3.975 0.012 1.756
3.424 -2.602 4.740
3.834 -2.602 1.601
5.809 -1.309 0.230
```

## Properties
The formation enthalpy at 0 K is -2.925 eV per atom. Its total magnetization is 0.0 μB/f.u. The space group is C2 (5). Its uncorrected energy is -6.564 eV per atom. The corrected total energy (MP2020 scheme) is -110.526 eV/f.u.

---

Li3RhN2 | PBE-GGA | optimized geometry

```
Li3RhN2
1.0
-4.913 4.913 4.913
4.913 -4.913 4.913
4.913 4.913 -4.913
Li Rh N
24 8 16
Cartesian
5.949 -3.600 3.684
8.512 1.228 -1.037
3.684 -1.037 1.313
6.225 1.228 1.037
3.684 5.949 -3.600
3.876 -1.313 3.684
3.876 1.313 1.228
3.684 3.876 -1.313
1.313 3.684 -1.037
3.684 1.037 3.600
3.600 3.684 1.037
5.949 3.600 1.228
-1.037 1.313 3.684
1.313 1.228 3.876
1.228 3.876 1.313
3.600 1.228 5.949
1.228 1.037 6.225
1.037 3.600 3.684
1.037 6.225 1.228
1.228 -1.037 8.512
-1.313 3.684 3.876
1.228 5.949 3.600
-3.600 3.684 5.949
-1.037 8.512 1.228
3.611 1.302 -1.302
6.214 -1.302 1.302
1.302 -1.302 3.611
1.302 1.302 1.302
-1.302 3.611 1.302
1.302 6.214 -1.302
3.611 3.611 3.611
-1.302 1.302 6.214
2.456 2.456 -2.456
2.456 -2.456 2.456
2.456 0.148 0.000
4.913 2.456 -0.148
0.148 0.000 2.456
5.061 0.000 2.456
0.000 2.456 0.148
2.456 -0.148 4.913
-2.456 2.456 2.456
2.456 2.456 2.456
2.456 5.061 0.000
4.913 2.456 4.764
-0.148 4.913 2.456
4.764 4.913 2.456
0.000 2.456 5.061
2.456 4.764 4.913
```

## Properties
The formation enthalpy at 0 K is -0.255 eV per atom. The polymorph energy (0 for the lowest one) is 43 meV/atom. Its total magnetization is 0.0 μB/f.u. The space group is Ia-3 (206). Its uncorrected energy is -5.095 eV per atom. The corrected total energy (MP2020 scheme) is -31.291 eV/f.u.

---

Ti2MnGe | PBE-GGA | optimized geometry

```
Ti2MnGe
1.0
0.000 3.042 3.042
3.042 0.000 3.042
3.042 3.042 0.000
Ti Mn Ge
2 1 1
Cartesian
0.000 0.000 0.000
1.521 1.521 1.521
4.563 4.563 4.563
3.042 3.042 3.042
```

## Properties
The formation enthalpy at 0 K is -0.244 eV per atom. Its total magnetization is 0.1 μB/f.u. The space group is F-43m (216). Its uncorrected energy is -7.638 eV per atom.

---

Lu3In | PBE-GGA | optimized geometry

```
Lu3In
1.0
6.755 0.000 0.000
-3.377 5.850 0.000
0.000 0.000 5.471
Lu In
6 2
Cartesian
0.000 1.976 1.368
-1.666 4.862 1.368
1.711 0.988 4.103
1.666 4.862 1.368
5.044 0.988 4.103
3.377 3.874 4.103
0.000 3.900 4.103
3.377 1.950 1.368
```

## Properties
The formation enthalpy at 0 K is -0.240 eV per atom. The space group is P6_3/mmc (194). Its uncorrected energy is -4.318 eV per atom.